# Y2PdO4 | the Materials Project database | PBE-GGA | relaxed
data_Y2PdO4
_chemical_formula_sum 'Y8 Pd4 O16'
_cell_length_a 6.817
_cell_length_b 6.817
_cell_length_c 9.507
_cell_angle_alpha 90.00
_cell_angle_beta 90.00
_cell_angle_gamma 90.00
_symmetry_space_group_name_H-M 'I 41/a m d'
_symmetry_Int_Tables_number 141
loop_
_symmetry_equiv_pos_as_xyz
'x,y,z'
'-x,-y,-z'
'-y+1/4,x+3/4,z+1/4'
'y+1/4,-x+3/4,-z+1/4'
'-x+1/2,-y,z+1/2'
'x+1/2,y,-z+1/2'
'y+1/4,-x+1/4,z+3/4'
'-y+1/4,x+1/4,-z+3/4'
'x,-y,-z'
'-x,y,z'
'-y+1/4,-x+1/4,-z+3/4'
'y+1/4,x+1/4,z+3/4'
'-x+1/2,y,-z+1/2'
'x+1/2,-y,z+1/2'
'y+1/4,x+3/4,-z+1/4'
'-y+1/4,-x+3/4,z+1/4'
'x+1/2,y+1/2,z+1/2'
'-x+1/2,-y+1/2,-z+1/2'
'-y+3/4,x+1/4,z+3/4'
'y+3/4,-x+1/4,-z+3/4'
'-x,-y+1/2,z'
'x,y+1/2,-z'
'y+3/4,-x+3/4,z+1/4'
'-y+3/4,x+3/4,-z+1/4'
'x+1/2,-y+1/2,-z+1/2'
'-x+1/2,y+1/2,z+1/2'
'-y+3/4,-x+3/4,-z+1/4'
'y+3/4,x+3/4,z+1/4'
'-x,y+1/2,-z'
'x,-y+1/2,z'
'y+3/4,x+1/4,-z+3/4'
'-y+3/4,-x+1/4,z+3/4'
loop_
_atom_site_label
_atom_site_fract_x
_atom_site_fract_y
_atom_site_fract_z
Y1 0.000 0.000 0.000
Pd1 0.000 0.250 0.375
O1 0.000 0.025 0.759
# * ΔE_f: -2.673 eV per atom

# Eu2Zn3Ge | the Materials Project database | PBE-GGA | relaxed
data_Eu2Zn3Ge
_chemical_formula_sum 'Eu4 Zn6 Ge2'
_cell_length_a 4.553
_cell_length_b 7.752
_cell_length_c 7.490
_cell_angle_alpha 90.00
_cell_angle_beta 90.00
_cell_angle_gamma 90.00
_symmetry_space_group_name_H-M 'P m c 21'
_symmetry_Int_Tables_number 26
_symmetry_space_group_name_Hall 'P 2c -2'
loop_
_atom_site_label
_atom_site_fract_x
_atom_site_fract_y
_atom_site_fract_z
Eu1 0.000 0.041 0.000
Eu2 0.500 0.450 0.996
Zn1 0.000 0.333 0.683
Zn2 0.500 0.161 0.308
Zn3 0.500 0.163 0.692
Ge1 0.000 0.341 0.304
# * offset from the most stable computed form: 0.0 meV per atom
# * ΔE_f: -0.435 eV per atom

# Rb3RuF6 | the Materials Project database | PBE-GGA | relaxed
data_Rb3RuF6
_chemical_formula_sum 'Rb3 Ru1 F6'
_cell_length_a 6.932
_cell_length_b 7.149
_cell_length_c 7.248
_cell_angle_alpha 94.88
_cell_angle_beta 100.20
_cell_angle_gamma 108.30
_symmetry_space_group_name_H-M 'P -1'
_symmetry_Int_Tables_number 2
_symmetry_space_group_name_Hall '-P 1'
loop_
_atom_site_label
_atom_site_fract_x
_atom_site_fract_y
_atom_site_fract_z
Rb1 0.000 0.000 0.000
Rb2 0.000 0.500 0.500
Rb3 0.500 0.000 0.500
Ru1 0.000 0.000 0.500
F1 0.065 0.813 0.307
F2 0.186 0.920 0.707
F3 0.239 0.229 0.456
# * ΔE_f: -2.543 eV per atom

# Ba3Ac | the Materials Project database | PBE-GGA | relaxed
data_Ba3Ac
_chemical_formula_sum 'Ba6 Ac2'
_cell_length_a 6.071
_cell_length_b 6.071
_cell_length_c 12.399
_cell_angle_alpha 90.00
_cell_angle_beta 90.00
_cell_angle_gamma 90.00
_symmetry_space_group_name_H-M 'I 4/m m m'
_symmetry_Int_Tables_number 139
_symmetry_space_group_name_Hall '-I 4 2'
loop_
_atom_site_label
_atom_site_fract_x
_atom_site_fract_y
_atom_site_fract_z
Ba1 0.000 0.000 0.000
Ba2 0.000 0.500 0.250
Ac1 0.000 0.000 0.500
# * offset from the most stable computed form: 6.3 meV per atom
# * ΔE_f: 0.113 eV per atom